[1]
Here is crystalline CaSmAl3O7 at its relaxed geometry from the Materials Project database. Energies are from PBE.

a = 7.8000 Å, b = 7.8000 Å, c = 5.1405 Å
α = 90.00°, β = 90.00°, γ = 90.51°
Closest atoms and distances in Å follow each position.
Atoms (fractional coordinates):
Ca 0.6604 0.6604 0.4832  6 O 2.45-2.60
Ca 0.3396 0.3396 0.4832  6 O 2.45-2.60
Sm 0.8375 0.1625 0.5118  6 O 2.37-2.52
Sm 0.1625 0.8375 0.5118  6 O 2.37-2.52
Al 0.5000 0.0000 0.0028  4 O 1.77
Al 0.0000 0.5000 0.0028  4 O 1.77
Al 0.8560 0.8560 0.0414  4 O 1.75-1.77
Al 0.6435 0.3565 0.9570  4 O 1.74-1.78
Al 0.1440 0.1440 0.0414  4 O 1.75-1.77
Al 0.3565 0.6435 0.9570  4 O 1.74-1.78
O 0.8658 0.8658 0.7021  1 Al 1.75
O 0.6483 0.3517 0.2953  1 Al 1.74
O 0.1342 0.1342 0.7021  1 Al 1.75
O 0.3517 0.6483 0.2953  1 Al 1.74
O 0.6633 0.9139 0.2002  2 Al 1.77
O 0.8421 0.4048 0.8006  2 Al 1.77-1.78
O 0.3367 0.0861 0.2002  2 Al 1.77
O 0.1579 0.5952 0.8006  2 Al 1.77-1.78
O 0.4048 0.8421 0.8006  2 Al 1.77-1.78
O 0.0861 0.3367 0.2002  2 Al 1.77
O 0.5952 0.1579 0.8006  2 Al 1.77-1.78
O 0.9139 0.6633 0.2002  2 Al 1.77
O 0.5000 0.5000 0.8134  2 Al 1.75
O 0.0000 0.0000 0.1961  2 Al 1.77

MP2020-corrected energy (eV per atom): -7.9363
SG: Cmm2
VASP energy (eV for the cell shown): -180.85
Total magnetic moment (μB per atom): 0.0001
Calculated formation energy (eV/atom): -3.55

---

[2]
Here is crystalline Sr2CuO3 at its relaxed geometry from the Materials Project database. Energies are from PBE.

a = 7.1403 Å, b = 7.1403 Å, c = 5.6028 Å
α = 90.00°, β = 90.00°, γ = 134.71°
Closest atoms and distances in Å follow each position.
Atoms (fractional coordinates):
Sr 0.3660 0.6340 0.7500  4 O 2.49
Sr 0.8874 0.1126 0.2500  5 O 2.40-2.67
Sr 0.6340 0.3660 0.2500  4 O 2.49
Sr 0.1126 0.8874 0.7500  5 O 2.40-2.67
Cu 0.2346 0.7654 0.2500  5 O 1.97-2.18
Cu 0.7654 0.2346 0.7500  5 O 1.97-2.18
O 0.5000 0.0000 0.5000  2 Cu 1.97
O 0.0000 0.5000 0.0000  2 Cu 1.97
O 0.5000 0.0000 0.0000  2 Cu 1.97
O 0.0000 0.5000 0.5000  2 Cu 1.97
O 0.0691 0.9309 0.2500  1 Cu 2.18, 1 Sr 2.40
O 0.9309 0.0691 0.7500  1 Cu 2.18, 1 Sr 2.40

Energy relative to the lowest polymorph listed for this composition (meV per atom): 277
MP2020-corrected energy (eV per atom): -5.8803
SG: Cmcm
VASP energy (eV for the cell shown): -66.44
Total magnetic moment (μB per atom): 0.0001
Calculated formation energy (eV/atom): -2.16

---

[3]
Here is crystalline NiC8N6 at its relaxed geometry from the Materials Project database. Energies are from PBE.

a = 5.4105 Å, b = 6.9032 Å, c = 12.6351 Å
α = 90.00°, β = 90.00°, γ = 90.00°
Closest atoms and distances in Å follow each position.
Atoms (fractional coordinates):
Ni 0.0000 0.5000 0.5000  4 N 1.83
Ni 0.0000 0.0000 0.0000  4 N 1.83
C 0.4326 0.0000 0.7136  1 N 1.17
C 0.4326 0.5000 0.7864  1 N 1.17
C 0.5674 0.0000 0.2864  1 N 1.17
C 0.5674 0.5000 0.2136  1 N 1.17
C 0.6243 0.0000 0.6376  3 C 1.39-1.41
C 0.6243 0.5000 0.8624  3 C 1.39-1.41
C 0.3757 0.0000 0.3624  3 C 1.39-1.41
C 0.3757 0.5000 0.1376  3 C 1.39-1.41
C 0.7239 0.1714 0.5976  1 N 1.17
C 0.7239 0.3286 0.9024  1 N 1.17
C 0.2761 0.1714 0.4024  1 N 1.17
C 0.7239 0.6714 0.9024  1 N 1.17
C 0.2761 0.8286 0.4024  1 N 1.17
C 0.2761 0.6714 0.0976  1 N 1.17
C 0.7239 0.8286 0.5976  1 N 1.17
C 0.2761 0.3286 0.0976  1 N 1.17
N 0.8099 0.3087 0.5578  1 C 1.17
N 0.8099 0.1913 0.9422  1 C 1.17
N 0.1901 0.3087 0.4422  1 C 1.17
N 0.8099 0.8087 0.9422  1 C 1.17
N 0.1901 0.6913 0.4422  1 C 1.17
N 0.1901 0.8087 0.0578  1 C 1.17
N 0.8099 0.6913 0.5578  1 C 1.17
N 0.1901 0.1913 0.0578  1 C 1.17
N 0.2738 0.0000 0.7765  1 C 1.17
N 0.2738 0.5000 0.7235  1 C 1.17
N 0.7262 0.0000 0.2235  1 C 1.17
N 0.7262 0.5000 0.2765  1 C 1.17

MP2020-corrected energy (eV per atom): -8.2950
SG: Pmna
VASP energy (eV for the cell shown): -244.52
Total magnetic moment (μB per atom): 0.0001
Calculated formation energy (eV/atom): 0.35

---

[4]
Here is crystalline Zr2N2O at its relaxed geometry from the Materials Project database. Energies are from PBE.

a = 3.4889 Å, b = 4.3515 Å, c = 8.7821 Å
α = 100.70°, β = 90.28°, γ = 90.05°
Closest atoms and distances in Å follow each position.
Atoms (fractional coordinates):
Zr 0.7377 0.2919 0.1067  4 N 2.12-2.19
Zr 0.7542 0.1197 0.6710  3 O 2.03-2.23, 1 N 2.21
Zr 0.2458 0.8803 0.3290  3 O 2.03-2.23, 1 N 2.21
Zr 0.2623 0.7081 0.8933  4 N 2.12-2.19
N 0.2437 0.3318 0.2485  4 Zr 2.12-2.36
N 0.2639 0.2137 0.8999  2 Zr 2.16-2.19
N 0.7361 0.7863 0.1001  2 Zr 2.16-2.19
N 0.7563 0.6682 0.7515  4 Zr 2.12-2.36
O 0.7483 0.8116 0.4378  3 Zr 2.03-2.23
O 0.2517 0.1884 0.5622  3 Zr 2.03-2.23

MP2020-corrected energy (eV per atom): -9.8444
SG: P-1
VASP energy (eV for the cell shown): -97.07
Total magnetic moment (μB per atom): 0.0002
Calculated formation energy (eV/atom): -2.10

---

[5]
Here is crystalline TeMoWSeS2 at its relaxed geometry from the Materials Project database. Energies are from PBE.

a = 3.3039 Å, b = 3.3039 Å, c = 37.6231 Å
α = 90.00°, β = 90.00°, γ = 120.00°
Closest atoms and distances in Å follow each position.
Atoms (fractional coordinates):
Te 0.3333 0.6667 0.4189  3 Mo 2.70
Te 0.3333 0.6667 0.5204  3 Mo 2.70
Mo 0.0000 0.0000 0.0939  6 Se 2.54
Mo 0.0000 0.0000 0.4697  6 Te 2.70
W 0.3333 0.6667 0.2818  6 S 2.45
W 0.3333 0.6667 0.6576  6 S 2.45
Se 0.3333 0.6667 0.0493  3 Mo 2.54
Se 0.3333 0.6667 0.1386  3 Mo 2.54
S 0.0000 0.0000 0.3226  3 W 2.45
S 0.0000 0.0000 0.6983  3 W 2.45
S 0.0000 0.0000 0.2410  3 W 2.45
S 0.0000 0.0000 0.6168  3 W 2.45

Energy relative to the lowest polymorph listed for this composition (meV per atom): 1
MP2020-corrected energy (eV per atom): -7.2121
SG: P3m1
VASP energy (eV for the cell shown): -84.53
Total magnetic moment (μB per atom): 0.0000
Calculated formation energy (eV/atom): -0.76

---

[6]
Here is crystalline YMg5 at its relaxed geometry from the Materials Project database. Energies are from PBE.

a = 6.2699 Å, b = 6.2699 Å, c = 7.0343 Å
α = 73.09°, β = 73.09°, γ = 34.13°
Closest atoms and distances in Å follow each position.
Atoms (fractional coordinates):
Y 0.5000 0.5000 0.5000  10 Mg 3.23-3.52
Mg 0.1753 0.1753 0.6717  7 Mg 3.10-3.39, 2 Y 3.29
Mg 0.8284 0.8284 0.8445  7 Mg 3.03-3.39, 2 Y 3.23
Mg 0.5000 0.5000 0.0000  8 Mg 3.19, 2 Y 3.52
Mg 0.1716 0.1716 0.1555  7 Mg 3.03-3.39, 2 Y 3.23
Mg 0.8247 0.8247 0.3283  7 Mg 3.10-3.39, 2 Y 3.29

SG: C2/m
VASP energy (eV for the cell shown): -14.58
Calculated formation energy (eV/atom): -0.02

---

[7]
Here is crystalline Sr2Bi2O5 at its relaxed geometry from the Materials Project database. Energies are from PBE.

a = 6.2543 Å, b = 7.7597 Å, c = 14.6205 Å
α = 90.00°, β = 90.00°, γ = 90.00°
Closest atoms and distances in Å follow each position.
Atoms (fractional coordinates):
Sr 0.2500 0.3736 0.4340  7 O 2.59-2.78
Sr 0.7500 0.8736 0.0660  7 O 2.59-2.78
Sr 0.7500 0.6264 0.5660  7 O 2.59-2.78
Sr 0.2500 0.1264 0.9340  7 O 2.59-2.78
Sr 0.7500 0.3765 0.0522  6 O 2.54-2.59
Sr 0.2500 0.8765 0.4478  6 O 2.54-2.59
Sr 0.7500 0.1235 0.5522  6 O 2.54-2.59
Sr 0.2500 0.6235 0.9478  6 O 2.54-2.59
Bi 0.7500 0.8822 0.8164  3 O 2.08-2.17
Bi 0.7500 0.1312 0.3097  3 O 2.08-2.15
Bi 0.7500 0.3688 0.8097  3 O 2.08-2.15
Bi 0.2500 0.6312 0.1903  3 O 2.08-2.15
Bi 0.7500 0.6178 0.3164  3 O 2.08-2.17
Bi 0.2500 0.3822 0.6836  3 O 2.08-2.17
Bi 0.2500 0.1178 0.1836  3 O 2.08-2.17
Bi 0.2500 0.8688 0.6903  3 O 2.08-2.15
O 0.5089 0.1182 0.4079  1 Bi 2.08
O 0.5078 0.8675 0.9137  1 Bi 2.08
O 0.4911 0.6182 0.0921  1 Bi 2.08
O 0.0089 0.8818 0.5921  1 Bi 2.08
O 0.2500 0.3727 0.2441  2 Bi 2.15-2.17
O 0.9911 0.1182 0.4079  1 Bi 2.08
O 0.9922 0.6325 0.4137  1 Bi 2.08
O 0.7500 0.6273 0.7559  2 Bi 2.15-2.17
O 0.4911 0.8818 0.5921  1 Bi 2.08
O 0.5089 0.3818 0.9079  1 Bi 2.08
O 0.4922 0.1325 0.0863  1 Bi 2.08
O 0.9922 0.8675 0.9137  1 Bi 2.08
O 0.0089 0.6182 0.0921  1 Bi 2.08
O 0.0078 0.1325 0.0863  1 Bi 2.08
O 0.4922 0.3675 0.5863  1 Bi 2.08
O 0.2500 0.1273 0.7441  2 Bi 2.15-2.17
O 0.0078 0.3675 0.5863  1 Bi 2.08
O 0.9911 0.3818 0.9079  1 Bi 2.08
O 0.5078 0.6325 0.4137  1 Bi 2.08
O 0.7500 0.8727 0.2559  2 Bi 2.15-2.17

Energy relative to the lowest polymorph listed for this composition (meV per atom): 0
MP2020-corrected energy (eV per atom): -6.3427
SG: Pnma
VASP energy (eV for the cell shown): -214.60
Calculated formation energy (eV/atom): -2.35

---

[8]
Here is crystalline Hf2FeTc at its relaxed geometry from the Materials Project database. Energies are from PBE.

a = 4.5326 Å, b = 4.5326 Å, c = 4.5326 Å
α = 60.00°, β = 60.00°, γ = 60.00°
Closest atoms and distances in Å follow each position.
Atoms (fractional coordinates):
Hf 0.2500 0.2500 0.2500  4 Fe 2.78, 4 Tc 2.78
Hf 0.7500 0.7500 0.7500  4 Fe 2.78, 4 Tc 2.78
Fe 0.5000 0.5000 0.5000  8 Hf 2.78
Tc 0.0000 0.0000 0.0000  8 Hf 2.78

SG: Fm-3m
VASP energy (eV for the cell shown): -40.38
Calculated formation energy (eV/atom): -0.41

---

[9]
Here is crystalline KLaNb2O6 at its relaxed geometry from the Materials Project database. Energies are from PBE.

a = 5.7669 Å, b = 5.7669 Å, c = 5.7669 Å
α = 60.00°, β = 60.00°, γ = 60.00°
Closest atoms and distances in Å follow each position.
Atoms (fractional coordinates):
K 0.0000 0.0000 0.0000  12 O 2.88
La 0.5000 0.5000 0.5000  12 O 2.88
Nb 0.2500 0.2500 0.2500  6 O 2.04
Nb 0.7500 0.7500 0.7500  6 O 2.04
O 0.0000 0.0000 0.5000  2 Nb 2.04
O 0.5000 0.5000 0.0000  2 Nb 2.04
O 0.0000 0.5000 0.5000  2 Nb 2.04
O 0.5000 0.0000 0.0000  2 Nb 2.04
O 0.0000 0.5000 0.0000  2 Nb 2.04
O 0.5000 0.0000 0.5000  2 Nb 2.04

MP2020-corrected energy (eV per atom): -8.6447
SG: Fm-3m
VASP energy (eV for the cell shown): -82.33
Total magnetic moment (μB per atom): 0.0002
Calculated formation energy (eV/atom): -3.05

---

[10]
Here is crystalline CdGa2O4 at its relaxed geometry from the Materials Project database. Energies are from PBE.

a = 3.0085 Å, b = 9.2510 Å, c = 10.7685 Å
α = 90.00°, β = 90.00°, γ = 90.00°
Closest atoms and distances in Å follow each position.
Atoms (fractional coordinates):
Cd 0.7500 0.2420 0.3451  8 O 2.37-2.60
Cd 0.2500 0.2580 0.8451  8 O 2.37-2.60
Cd 0.7500 0.7420 0.1549  8 O 2.37-2.60
Cd 0.2500 0.7580 0.6549  8 O 2.37-2.60
Ga 0.7500 0.0834 0.6047  6 O 1.99-2.06
Ga 0.7500 0.0636 0.1127  6 O 1.98-2.06
Ga 0.2500 0.4364 0.6127  6 O 1.98-2.06
Ga 0.2500 0.4166 0.1047  6 O 1.99-2.06
Ga 0.7500 0.5834 0.8953  6 O 1.99-2.06
Ga 0.7500 0.5636 0.3873  6 O 1.98-2.06
Ga 0.2500 0.9364 0.8873  6 O 1.98-2.06
Ga 0.2500 0.9166 0.3953  6 O 1.99-2.06
O 0.2500 0.0298 0.7158  3 Ga 1.99-2.04
O 0.7500 0.0812 0.9292  3 Ga 1.98-2.06
O 0.2500 0.1158 0.4766  3 Ga 2.04-2.06
O 0.2500 0.2036 0.1586  3 Ga 2.05
O 0.7500 0.2964 0.6586  3 Ga 2.05
O 0.7500 0.3842 0.9766  3 Ga 2.04-2.06
O 0.2500 0.4188 0.4292  3 Ga 1.98-2.06
O 0.7500 0.4702 0.2158  3 Ga 1.99-2.04
O 0.2500 0.5298 0.7842  3 Ga 1.99-2.04
O 0.7500 0.5812 0.5708  3 Ga 1.98-2.06
O 0.2500 0.6158 0.0234  3 Ga 2.04-2.06
O 0.2500 0.7036 0.3414  3 Ga 2.05
O 0.7500 0.7964 0.8414  3 Ga 2.05
O 0.7500 0.8842 0.5234  3 Ga 2.04-2.06
O 0.2500 0.9188 0.0708  3 Ga 1.98-2.06
O 0.7500 0.9702 0.2842  3 Ga 1.99-2.04

MP2020-corrected energy (eV per atom): -5.7912
SG: Pnma
VASP energy (eV for the cell shown): -151.16
Total magnetic moment (μB per atom): 0.0001
Calculated formation energy (eV/atom): -1.97

---

[11]
Here is crystalline Tl2Hg3Te4 at its relaxed geometry from the Materials Project database. Energies are from PBE.

a = 7.6017 Å, b = 7.6017 Å, c = 13.3504 Å
α = 97.07°, β = 98.85°, γ = 120.91°
Closest atoms and distances in Å follow each position.
Atoms (fractional coordinates):
Tl 0.9269 0.7001 0.4535  4 Te 3.35-3.68
Tl 0.2467 0.9735 0.0465  4 Te 3.35-3.68
Tl 0.0731 0.2999 0.5465  4 Te 3.35-3.68
Tl 0.7533 0.0265 0.9535  4 Te 3.35-3.68
Hg 0.8618 0.6118 0.7500  4 Te 2.91-2.92
Hg 0.1382 0.3882 0.2500  4 Te 2.91-2.92
Hg 0.4512 0.9707 0.6516  2 Te 2.73-2.74
Hg 0.3190 0.2996 0.8484  2 Te 2.73-2.74
Hg 0.5488 0.0293 0.3484  2 Te 2.73-2.74
Hg 0.6810 0.7004 0.1516  2 Te 2.73-2.74
Te 0.2796 0.6776 0.7664  2 Hg 2.74-2.92
Te 0.9111 0.0132 0.7336  2 Hg 2.74-2.92
Te 0.7204 0.3224 0.2336  2 Hg 2.74-2.92
Te 0.0889 0.9868 0.2664  2 Hg 2.74-2.92
Te 0.7391 0.4661 0.9345  2 Hg 2.73-2.91
Te 0.5316 0.3045 0.5655  2 Hg 2.73-2.91
Te 0.2609 0.5339 0.0655  2 Hg 2.73-2.91
Te 0.4684 0.6955 0.4345  2 Hg 2.73-2.91

MP2020-corrected energy (eV per atom): -2.4046
SG: C2/c
VASP energy (eV for the cell shown): -39.91
Total magnetic moment (μB per atom): 0.0005
Calculated formation energy (eV/atom): -0.38

---

[12]
Here is crystalline PmEuPd2 at its relaxed geometry from the Materials Project database. Energies are from PBE.

a = 5.1285 Å, b = 5.1285 Å, c = 5.1285 Å
α = 60.00°, β = 60.00°, γ = 60.00°
Closest atoms and distances in Å follow each position.
Atoms (fractional coordinates):
Pm 0.0000 0.0000 0.0000  8 Pd 3.14
Eu 0.5000 0.5000 0.5000  8 Pd 3.14
Pd 0.2500 0.2500 0.2500  4 Eu 3.14, 4 Pm 3.14
Pd 0.7500 0.7500 0.7500  4 Eu 3.14, 4 Pm 3.14

SG: Fm-3m
VASP energy (eV for the cell shown): -28.29
Calculated formation energy (eV/atom): -0.73